i | The following is a GGA-PBE calculation of an optimized crystal structure of B10H14S, from the Materials Project. Values from VASP.

Properties
The symmetry is P2_12_12_1.

```
&SYSTEM
  ibrav = 0, nat = 100, ntyp = 3
/
ATOMIC_SPECIES
B 10.81 B.upf
H 1.01 H.upf
S 32.06 S.upf
CELL_PARAMETERS angstrom
7.602 0.000 0.000
0.000 12.297 0.000
0.000 0.000 12.794
ATOMIC_POSITIONS angstrom
B 0.085 0.138 2.733
B 0.206 7.667 4.753
B 0.318 5.969 5.309
B 0.567 4.714 10.125
B 0.710 5.248 11.757
B 0.771 6.458 10.428
B 1.233 5.136 4.005
B 1.415 7.222 5.932
B 1.751 6.679 11.888
B 1.757 3.917 11.187
B 2.044 8.381 4.790
B 2.050 5.619 5.491
B 2.386 5.075 12.329
B 2.568 7.161 10.402
B 3.030 5.839 4.031
B 3.091 7.049 5.360
B 3.234 7.583 3.728
B 3.483 6.328 11.706
B 3.595 4.630 11.150
B 3.716 12.160 9.130
B 3.886 6.011 10.061
B 4.007 10.779 8.041
B 4.119 0.179 7.485
B 4.367 1.434 2.670
B 4.511 0.900 1.037
B 4.571 11.988 2.366
B 5.034 1.012 8.789
B 5.215 11.224 6.862
B 5.552 11.767 0.906
B 5.558 2.232 1.607
B 5.845 10.065 8.004
B 5.851 0.530 7.303
B 6.187 1.073 0.465
B 6.369 11.285 2.392
B 6.831 0.310 8.763
B 6.892 11.397 7.434
B 7.035 10.863 9.067
B 7.284 12.118 1.088
B 7.396 1.519 1.644
B 7.517 6.286 3.664
H 0.098 1.069 9.059
H 0.195 11.271 6.674
H 0.227 7.571 3.428
H 0.350 10.328 9.600
H 0.469 11.601 0.357
H 0.681 2.275 1.404
H 0.937 5.846 2.919
H 0.962 5.713 9.336
H 1.091 12.206 3.327
H 1.107 3.996 3.676
H 1.231 7.660 7.028
H 1.616 2.762 11.445
H 1.636 3.486 6.647
H 1.665 3.987 9.866
H 2.136 8.310 3.469
H 2.165 8.811 0.250
H 2.185 9.535 5.048
H 2.570 4.638 0.631
H 2.694 8.301 10.073
H 2.710 0.091 9.724
H 2.838 6.584 2.939
H 2.864 6.451 9.316
H 3.120 10.023 7.801
H 3.332 0.697 6.754
H 3.451 1.970 3.203
H 3.574 4.726 9.825
H 3.606 1.026 0.277
H 3.703 11.228 2.662
H 3.898 5.080 3.735
H 3.996 7.175 6.120
H 4.028 10.875 9.366
H 4.151 8.118 3.195
H 4.270 6.845 12.437
H 4.482 3.874 11.390
H 4.738 0.302 9.875
H 4.763 0.435 3.459
H 4.891 6.240 9.468
H 4.907 2.153 9.118
H 5.032 10.786 5.766
H 5.417 3.387 1.349
H 5.437 2.662 6.147
H 5.466 2.162 2.928
H 5.937 10.136 9.325
H 5.966 9.635 12.544
H 5.986 8.911 7.746
H 6.371 1.511 12.163
H 6.495 10.145 2.721
H 6.511 6.058 3.070
H 6.639 11.862 9.856
H 6.665 11.995 3.478
H 6.921 8.424 4.993
H 7.133 5.452 6.040
H 7.252 4.179 9.592
H 7.375 1.422 2.969
H 7.407 5.123 12.518
H 7.504 7.218 10.132
S 1.109 7.973 0.272
S 2.692 4.324 6.669
S 4.910 10.473 12.522
S 6.493 1.824 6.125
```

ii | The following is a GGA-PBE calculation of an optimized crystal structure of B10H14S, from the Materials Project. Values from VASP.

Properties
The symmetry is P2_12_12_1.

```
&SYSTEM
  ibrav = 0, nat = 100, ntyp = 3
/
ATOMIC_SPECIES
B 10.81 B.upf
H 1.01 H.upf
S 32.06 S.upf
CELL_PARAMETERS angstrom
7.707 0.000 0.000
0.000 11.636 0.000
0.000 0.000 13.986
ATOMIC_POSITIONS angstrom
B 0.117 0.988 2.126
B 0.206 5.066 5.230
B 0.242 5.720 3.571
B 0.949 11.492 9.934
B 0.987 0.121 0.834
B 1.000 1.515 9.288
B 1.158 0.194 8.184
B 1.220 0.913 3.556
B 1.494 10.113 1.154
B 1.877 1.176 1.961
B 1.976 10.460 8.954
B 2.359 1.523 8.147
B 2.633 10.723 10.549
B 2.696 11.442 1.191
B 2.854 10.122 2.295
B 2.866 11.515 7.827
B 2.904 0.144 2.941
B 3.612 5.916 10.564
B 3.648 6.570 12.223
B 3.737 10.648 9.119
B 3.970 4.830 11.860
B 4.059 0.752 8.755
B 4.095 0.098 10.415
B 4.802 5.962 4.052
B 4.841 5.697 13.152
B 4.853 4.303 4.698
B 5.011 5.624 5.802
B 5.074 4.905 10.430
B 5.348 7.341 12.832
B 5.731 4.642 12.025
B 5.829 6.994 5.032
B 6.212 4.295 5.839
B 6.486 6.731 3.437
B 6.549 6.012 12.795
B 6.707 7.333 11.690
B 6.719 5.939 6.159
B 6.758 5.674 11.045
B 7.465 11.538 3.422
B 7.501 10.884 1.762
B 7.590 6.806 4.867
H 0.038 5.265 10.526
H 0.104 4.475 4.045
H 0.154 2.339 9.373
H 0.326 11.634 7.353
H 0.391 8.842 6.157
H 0.664 0.337 13.690
H 0.867 11.432 4.170
H 1.164 5.712 2.824
H 1.194 1.018 10.525
H 1.208 4.638 5.707
H 1.284 1.724 4.425
H 1.442 9.257 0.330
H 1.553 9.359 8.769
H 1.661 9.485 2.308
H 2.192 2.151 9.301
H 2.301 2.277 1.776
H 2.411 2.379 7.323
H 2.569 9.912 11.417
H 2.645 6.998 12.700
H 2.660 10.618 3.532
H 2.689 5.924 9.817
H 2.986 0.204 11.163
H 3.189 11.299 6.697
H 3.462 2.794 13.150
H 3.527 0.002 0.360
H 3.699 9.297 2.380
H 3.749 7.161 11.038
H 3.816 6.371 3.533
H 3.891 0.553 3.460
H 3.957 1.343 9.941
H 4.007 3.479 4.613
H 4.179 5.820 6.633
H 4.244 8.612 7.829
H 4.518 5.481 0.296
H 4.720 6.022 9.816
H 5.018 0.106 11.162
H 5.047 4.800 3.461
H 5.061 1.180 8.279
H 5.138 4.094 9.561
H 5.295 8.197 13.656
H 5.406 8.095 5.217
H 5.515 7.969 11.678
H 6.045 3.667 4.685
H 6.154 3.541 12.210
H 6.265 3.439 6.663
H 6.422 7.542 2.568
H 6.499 10.456 1.286
H 6.513 6.836 10.454
H 6.542 11.530 4.169
H 6.840 5.614 2.823
H 7.042 6.155 7.289
H 7.316 3.024 0.836
H 7.381 5.816 13.626
H 7.553 8.157 11.606
H 7.603 10.293 2.948
H 7.669 11.083 10.453
S 1.110 8.190 5.217
S 2.743 3.446 12.210
S 4.963 9.264 8.769
S 6.597 2.372 1.776
```

On energetic grounds, i is preferred over the next structure by 0.5 kJ/mol of atoms.

i | The following is a GGA-PBE calculation of an optimized crystal structure of HfMg14B, from the Materials Project. Values from VASP.

Properties
The symmetry is Amm2.

```
&SYSTEM
  ibrav = 0, nat = 16, ntyp = 3
/
ATOMIC_SPECIES
Hf 178.49 Hf.upf
Mg 24.30 Mg.upf
B 10.81 B.upf
CELL_PARAMETERS angstrom
10.101 0.000 0.000
0.000 2.981 5.615
0.000 -2.981 5.615
ATOMIC_POSITIONS angstrom
Hf 0.000 0.000 0.000
Mg 0.000 -1.405 2.891
Mg 0.000 1.405 2.891
Mg 2.031 0.000 6.974
Mg 2.473 -1.503 4.425
Mg 2.473 1.503 4.425
Mg 2.553 0.000 1.632
Mg 5.051 0.000 5.449
Mg 5.051 -1.462 8.222
Mg 5.051 1.462 8.222
Mg 5.051 0.000 11.015
Mg 7.549 0.000 1.632
Mg 7.628 -1.503 4.425
Mg 7.628 1.503 4.425
Mg 8.070 0.000 6.974
B 0.000 0.000 5.138
```

ii | The following is a GGA-PBE calculation of an optimized crystal structure of HfMg14B, from the Materials Project. Values from VASP.

Properties
The symmetry is P-6m2.

```
&SYSTEM
  ibrav = 0, nat = 16, ntyp = 3
/
ATOMIC_SPECIES
Hf 178.49 Hf.upf
Mg 24.30 Mg.upf
B 10.81 B.upf
CELL_PARAMETERS angstrom
6.263 0.000 0.000
-3.131 5.424 0.000
0.000 0.000 9.971
ATOMIC_POSITIONS angstrom
Hf 0.000 0.000 0.000
Mg -1.522 2.737 0.000
Mg 0.000 1.718 2.588
Mg 0.000 1.718 7.383
Mg -1.643 4.565 2.588
Mg -1.643 4.565 7.383
Mg 1.522 2.737 0.000
Mg 0.000 5.374 0.000
Mg 3.131 0.030 4.986
Mg 1.591 2.697 4.986
Mg 3.131 1.808 2.408
Mg 3.131 1.808 7.563
Mg 1.643 4.565 2.588
Mg 1.643 4.565 7.383
Mg 4.671 2.697 4.986
B 0.000 0.000 4.986
```

On energetic grounds, i is preferred over the next structure by 2.5 kJ/mol of atoms.

i | The following is a GGA-PBE calculation of an optimized crystal structure of HfMg6BO8, from the Materials Project. Values from VASP.

Properties
The symmetry is P4/mmm.

```
&SYSTEM
  ibrav = 0, nat = 16, ntyp = 4
/
ATOMIC_SPECIES
Hf 178.49 Hf.upf
Mg 24.30 Mg.upf
B 10.81 B.upf
O 16.00 O.upf
CELL_PARAMETERS angstrom
4.285 0.000 0.000
0.000 4.285 0.000
0.000 0.000 8.876
ATOMIC_POSITIONS angstrom
Hf 0.000 0.000 0.000
Mg 0.000 0.000 4.438
Mg 0.000 2.142 2.277
Mg 0.000 2.142 6.599
Mg 2.142 0.000 2.277
Mg 2.142 0.000 6.599
Mg 2.142 2.142 4.438
B 2.142 2.142 0.000
O 0.000 0.000 2.229
O 0.000 0.000 6.647
O 0.000 2.142 0.000
O 0.000 2.142 4.438
O 2.142 0.000 0.000
O 2.142 0.000 4.438
O 2.142 2.142 2.385
O 2.142 2.142 6.491
```

ii | The following is a GGA-PBE calculation of an optimized crystal structure of HfMg6BO8, from the Materials Project. Values from VASP.

Properties
The symmetry is P4/mmm.

```
&SYSTEM
  ibrav = 0, nat = 16, ntyp = 4
/
ATOMIC_SPECIES
Hf 178.49 Hf.upf
Mg 24.30 Mg.upf
B 10.81 B.upf
O 16.00 O.upf
CELL_PARAMETERS angstrom
4.264 0.000 0.000
0.000 4.264 0.000
0.000 0.000 9.358
ATOMIC_POSITIONS angstrom
Hf 0.000 0.000 0.000
Mg 0.000 2.132 2.609
Mg 0.000 2.132 6.749
Mg 2.132 0.000 2.609
Mg 2.132 0.000 6.749
Mg 2.132 2.132 0.000
Mg 2.132 2.132 4.679
B 0.000 0.000 4.679
O 0.000 0.000 2.053
O 0.000 0.000 7.306
O 0.000 2.132 0.000
O 0.000 2.132 4.679
O 2.132 0.000 0.000
O 2.132 0.000 4.679
O 2.132 2.132 2.418
O 2.132 2.132 6.941
```

On energetic grounds, i is preferred over the next structure by 0.9 kJ/mol of atoms.